[1]
Sb2SeI2F11 (PBE, relaxed); theoretical density = 3.70 Mg/m³; formation enthalpy at 0 K = -2.17 eV/atom; V = 22.06 Å³/atom
1.0
8.238 0.000 0.000
-1.006 9.425 0.000
-1.650 -0.787 18.181
Sb Se I F
8 4 8 44
direct
0.099 0.153 0.388
0.187 0.229 0.090
0.287 0.633 0.571
0.355 0.556 0.867
0.645 0.444 0.133
0.713 0.367 0.429
0.813 0.771 0.910
0.901 0.847 0.612
0.196 0.835 0.223
0.470 0.020 0.739
0.530 0.980 0.261
0.804 0.165 0.777
0.197 0.638 0.309
0.223 0.734 0.098
0.344 0.086 0.852
0.385 0.175 0.640
0.615 0.825 0.360
0.656 0.914 0.148
0.777 0.266 0.902
0.803 0.362 0.691
0.010 0.977 0.422
0.013 0.891 0.914
0.043 0.884 0.700
0.090 0.758 0.567
0.104 0.363 0.026
0.144 0.463 0.833
0.148 0.341 0.173
0.160 0.511 0.630
0.170 0.335 0.355
0.176 0.539 0.484
0.222 0.200 0.480
0.261 0.130 0.009
0.272 0.065 0.347
0.280 0.660 0.947
0.297 0.105 0.155
0.340 0.718 0.810
0.372 0.750 0.655
0.386 0.772 0.511
0.404 0.411 0.932
0.411 0.350 0.094
0.463 0.465 0.794
0.463 0.518 0.578
0.537 0.482 0.422
0.537 0.535 0.206
0.589 0.650 0.906
0.596 0.589 0.068
0.614 0.228 0.489
0.628 0.250 0.345
0.660 0.282 0.190
0.703 0.895 0.845
0.720 0.340 0.053
0.728 0.935 0.653
0.739 0.870 0.991
0.778 0.800 0.520
0.824 0.461 0.516
0.830 0.665 0.645
0.840 0.489 0.370
0.852 0.659 0.827
0.856 0.537 0.167
0.896 0.637 0.974
0.910 0.242 0.433
0.957 0.116 0.300
0.987 0.109 0.086
0.990 0.023 0.578

[2]
CeSe2 (PBE, relaxed); theoretical density = 2.39 Mg/m³; formation enthalpy at 0 K = -1.40 eV/atom; V = 68.95 Å³/atom
1.0
-4.746 4.746 9.182
4.746 -4.746 9.182
4.746 4.746 -9.182
Ce Se
4 8
direct
0.014 0.625 0.889
0.375 0.986 0.111
0.736 0.125 0.111
0.875 0.264 0.889
0.041 0.541 0.082
0.110 0.110 0.000
0.291 0.709 0.000
0.459 0.959 0.918
0.640 0.140 0.500
0.709 0.291 0.000
0.860 0.360 0.500
0.890 0.890 0.000

[3]
MnB4W3 (PBE, relaxed); theoretical density = 13.49 Mg/m³; formation enthalpy at 0 K = -0.39 eV/atom; V = 10.00 Å³/atom
1.0
3.034 0.000 0.000
0.000 3.168 0.000
0.000 0.000 8.321
Mn B W
1 4 3
direct
0.000 0.000 0.000
0.000 0.000 0.295
0.000 0.500 0.821
0.500 0.000 0.423
0.500 0.500 0.940
0.000 0.500 0.515
0.500 0.000 0.728
0.500 0.500 0.217

[4]
Sr2FeN2 (PBE, relaxed); theoretical density = 4.64 Mg/m³; formation enthalpy at 0 K = -0.71 eV/atom; V = 18.54 Å³/atom
1.0
6.552 0.000 0.000
-1.840 8.470 0.000
-2.975 -0.667 8.351
Sr Fe N
10 5 10
direct
0.109 0.349 0.180
0.144 0.365 0.643
0.231 0.065 0.935
0.369 0.798 0.267
0.382 0.802 0.668
0.618 0.198 0.332
0.631 0.202 0.733
0.769 0.935 0.065
0.856 0.635 0.357
0.891 0.651 0.820
0.100 0.030 0.408
0.414 0.607 0.979
0.500 0.500 0.500
0.586 0.393 0.021
0.900 0.970 0.592
0.198 0.056 0.239
0.200 0.060 0.632
0.238 0.569 0.431
0.294 0.394 0.959
0.321 0.786 0.955
0.679 0.214 0.045
0.706 0.606 0.041
0.762 0.431 0.569
0.800 0.940 0.368
0.802 0.944 0.761

[5]
Sr2Zn3Cd (PBE, relaxed); theoretical density = 5.23 Mg/m³; formation enthalpy at 0 K = -0.26 eV/atom; V = 25.62 Å³/atom
1.0
5.572 -2.452 0.000
5.572 2.452 0.000
-5.489 0.000 5.624
Sr Zn Cd
2 3 1
direct
0.000 0.000 0.000
0.101 0.101 0.602
0.375 0.375 0.195
0.395 0.395 0.583
0.714 0.714 0.021
0.713 0.713 0.401

[6]
ScHO2 (PBE, relaxed); theoretical density = 3.20 Mg/m³; formation enthalpy at 0 K = -2.96 eV/atom; V = 10.11 Å³/atom
1.0
10.449 0.000 0.000
0.000 3.250 0.000
0.000 0.000 4.766
Sc H O
4 4 8
direct
0.144 0.250 0.070
0.356 0.750 0.570
0.644 0.250 0.430
0.856 0.750 0.930
0.096 0.750 0.612
0.404 0.250 0.112
0.596 0.750 0.888
0.904 0.250 0.388
0.060 0.750 0.805
0.196 0.750 0.314
0.304 0.250 0.814
0.440 0.250 0.305
0.560 0.750 0.695
0.696 0.750 0.186
0.804 0.250 0.686
0.940 0.250 0.195

[7]
ScCu3 (PBE, relaxed); theoretical density = 6.88 Mg/m³; formation enthalpy at 0 K = -0.16 eV/atom; V = 14.22 Å³/atom
1.0
0.000 3.052 3.052
3.052 0.000 3.052
3.052 3.052 0.000
Sc Cu
1 3
direct
0.000 0.000 0.000
0.250 0.250 0.250
0.500 0.500 0.500
0.750 0.750 0.750

[8]
Te2MoW3Se6 (PBE, relaxed); polymorph energy (0 for the lowest one) = 0.000 kcal/mol of atoms; theoretical density = 6.00 Mg/m³; formation enthalpy at 0 K = -0.70 eV/atom; V = 31.72 Å³/atom
1.0
3.378 0.000 0.000
-1.689 2.925 0.000
0.000 0.000 38.522
Te Mo W Se
2 1 3 6
direct
0.000 0.000 0.000
0.000 0.000 0.098
0.667 0.333 0.049
0.000 0.000 0.237
0.000 0.000 0.612
0.667 0.333 0.425
0.000 0.000 0.381
0.000 0.000 0.468
0.667 0.333 0.194
0.667 0.333 0.280
0.667 0.333 0.569
0.667 0.333 0.656